Record 1
Material: Na2CaScPS2O12
Method: DFT, PBE
State: optimized geometry

Summary:
- DFT total energy: -6.65 eV per atom
- Energy of formation from the pure elements: -50.57 eV/f.u.

Unit cell a=15.779 b=9.136 c=23.317 alpha=90.00 beta=90.35 gamma=90.00
Space group Cc (No. 9)
Symmetry-distinct sites (fractional):
Na (0.000, 0.002, 0.000) [4 per cell]
Na (0.143, 0.180, 0.921) [4 per cell]
Na (0.161, 0.486, 0.334) [4 per cell]
Na (0.176, 0.178, 0.253) [4 per cell]
Na (0.329, 0.005, 0.666) [4 per cell]
Na (0.337, 0.319, 0.088) [4 per cell]
Ca (0.153, 0.489, 0.480) [4 per cell]
Ca (0.327, 0.005, 0.315) [4 per cell]
Ca (0.493, 0.499, 0.648) [4 per cell]
Sc (0.161, 0.496, 0.181) [4 per cell]
Sc (0.314, 0.006, 0.515) [4 per cell]
Sc (0.483, 0.499, 0.347) [4 per cell]
P (0.161, 0.202, 0.079) [4 per cell]
P (0.169, 0.142, 0.410) [4 per cell]
P (0.338, 0.357, 0.244) [4 per cell]
S (0.004, 0.358, 0.582) [4 per cell]
S (0.136, 0.156, 0.750) [4 per cell]
S (0.303, 0.347, 0.582) [4 per cell]
S (0.327, 0.295, 0.916) [4 per cell]
S (0.470, 0.157, 0.416) [4 per cell]
S (0.494, 0.205, 0.748) [4 per cell]
O (0.005, 0.197, 0.299) [4 per cell]
O (0.050, 0.415, 0.634) [4 per cell]
O (0.053, 0.383, 0.530) [4 per cell]
O (0.059, 0.397, 0.921) [4 per cell]
O (0.076, 0.382, 0.245) [4 per cell]
O (0.082, 0.056, 0.409) [4 per cell]
O (0.085, 0.123, 0.803) [4 per cell]
O (0.086, 0.099, 0.085) [4 per cell]
O (0.096, 0.089, 0.700) [4 per cell]
O (0.143, 0.319, 0.744) [4 per cell]
O (0.154, 0.292, 0.024) [4 per cell]
O (0.156, 0.306, 0.418) [4 per cell]
O (0.172, 0.308, 0.133) [4 per cell]
O (0.217, 0.111, 0.355) [4 per cell]
O (0.220, 0.070, 0.463) [4 per cell]
O (0.222, 0.090, 0.755) [4 per cell]
O (0.247, 0.112, 0.077) [4 per cell]
O (0.247, 0.431, 0.243) [4 per cell]
O (0.249, 0.378, 0.633) [4 per cell]
O (0.249, 0.387, 0.920) [4 per cell]
O (0.264, 0.408, 0.530) [4 per cell]
O (0.311, 0.184, 0.577) [4 per cell]
O (0.316, 0.202, 0.866) [4 per cell]
O (0.322, 0.190, 0.250) [4 per cell]
O (0.337, 0.204, 0.970) [4 per cell]
O (0.384, 0.386, 0.188) [4 per cell]
O (0.387, 0.416, 0.588) [4 per cell]
O (0.388, 0.421, 0.297) [4 per cell]
O (0.403, 0.390, 0.911) [4 per cell]
O (0.419, 0.069, 0.079) [4 per cell]
O (0.419, 0.119, 0.467) [4 per cell]
O (0.421, 0.106, 0.754) [4 per cell]
O (0.434, 0.097, 0.363) [4 per cell]
O (0.476, 0.322, 0.412) [4 per cell]
O (0.484, 0.290, 0.696) [4 per cell]
O (0.488, 0.303, 0.087) [4 per cell]

Record 2
Material: Na4Ca3SnP2S4O24
Method: DFT, PBE
State: optimized geometry

Summary:
- DFT total energy: -6.30 eV per atom
- Energy of formation from the pure elements: -94.32 eV/f.u.

Unit cell a=9.180 b=9.194 c=23.508 alpha=90.30 beta=90.05 gamma=119.92
Space group P1 (No. 1)
Symmetry-distinct sites (fractional):
Na (0.000, 0.000, 0.000) [1 per cell]
Na (0.005, 0.391, 0.755) [1 per cell]
Na (0.026, 0.066, 0.345) [1 per cell]
Na (0.304, 0.683, 0.340) [1 per cell]
Na (0.335, 0.043, 0.427) [1 per cell]
Na (0.344, 0.025, 0.910) [1 per cell]
Na (0.638, 0.363, 0.995) [1 per cell]
Na (0.651, 0.696, 0.091) [1 per cell]
Na (0.672, 0.706, 0.574) [1 per cell]
Na (0.716, 0.412, 0.671) [1 per cell]
Na (0.968, 0.018, 0.657) [1 per cell]
Na (0.983, 0.360, 0.258) [1 per cell]
Ca (0.006, 0.368, 0.107) [1 per cell]
Ca (0.009, 0.369, 0.595) [1 per cell]
Ca (0.322, 0.018, 0.563) [1 per cell]
Ca (0.335, 0.021, 0.069) [1 per cell]
Ca (0.657, 0.684, 0.925) [1 per cell]
Ca (0.666, 0.692, 0.740) [1 per cell]
Ca (0.670, 0.692, 0.235) [1 per cell]
Ca (0.992, 0.358, 0.404) [1 per cell]
Ca (0.999, 0.366, 0.897) [1 per cell]
Sn (0.332, 0.024, 0.768) [1 per cell]
Sn (0.340, 0.035, 0.272) [1 per cell]
Sn (0.674, 0.699, 0.430) [1 per cell]
P (0.042, 0.735, 0.672) [1 per cell]
P (0.377, 0.398, 0.335) [1 per cell]
P (0.655, 0.372, 0.831) [1 per cell]
P (0.659, 0.986, 0.333) [1 per cell]
P (0.973, 0.705, 0.332) [1 per cell]
P (0.988, 0.044, 0.498) [1 per cell]
S (0.043, 0.031, 0.170) [1 per cell]
S (0.301, 0.361, 0.002) [1 per cell]
S (0.321, 0.666, 0.496) [1 per cell]
S (0.331, 0.315, 0.670) [1 per cell]
S (0.333, 0.736, 0.173) [1 per cell]
S (0.362, 0.707, 0.832) [1 per cell]
S (0.628, 0.319, 0.169) [1 per cell]
S (0.629, 0.033, 0.670) [1 per cell]
S (0.694, 0.375, 0.501) [1 per cell]
S (0.707, 0.064, 0.002) [1 per cell]
S (0.984, 0.002, 0.834) [1 per cell]
S (0.995, 0.662, 0.002) [1 per cell]
O (0.013, 0.173, 0.837) [1 per cell]
O (0.014, 0.555, 0.669) [1 per cell]
O (0.014, 0.582, 0.950) [1 per cell]
O (0.015, 0.565, 0.341) [1 per cell]
O (0.029, 0.185, 0.172) [1 per cell]
O (0.126, 0.021, 0.118) [1 per cell]
O (0.129, 0.847, 0.622) [1 per cell]
O (0.140, 0.017, 0.499) [1 per cell]
O (0.141, 0.837, 0.005) [1 per cell]
O (0.148, 0.820, 0.729) [1 per cell]
O (0.149, 0.045, 0.223) [1 per cell]
O (0.151, 0.880, 0.329) [1 per cell]
O (0.154, 0.011, 0.830) [1 per cell]
O (0.173, 0.322, 0.667) [1 per cell]
O (0.179, 0.570, 0.173) [1 per cell]
O (0.192, 0.559, 0.835) [1 per cell]
O (0.198, 0.371, 0.343) [1 per cell]
O (0.200, 0.342, 0.951) [1 per cell]
O (0.221, 0.377, 0.054) [1 per cell]
O (0.223, 0.588, 0.444) [1 per cell]
O (0.240, 0.566, 0.547) [1 per cell]
O (0.307, 0.209, 0.723) [1 per cell]
O (0.315, 0.204, 0.005) [1 per cell]
O (0.320, 0.824, 0.227) [1 per cell]
O (0.343, 0.832, 0.122) [1 per cell]
O (0.345, 0.864, 0.829) [1 per cell]
O (0.350, 0.839, 0.501) [1 per cell]
O (0.356, 0.215, 0.330) [1 per cell]
O (0.357, 0.236, 0.620) [1 per cell]
O (0.446, 0.694, 0.781) [1 per cell]
O (0.453, 0.503, 0.282) [1 per cell]
O (0.460, 0.732, 0.884) [1 per cell]
O (0.476, 0.508, 0.000) [1 per cell]
O (0.481, 0.483, 0.677) [1 per cell]
O (0.485, 0.721, 0.175) [1 per cell]
O (0.487, 0.192, 0.827) [1 per cell]
O (0.490, 0.481, 0.389) [1 per cell]
O (0.490, 0.674, 0.492) [1 per cell]
O (0.490, 0.995, 0.329) [1 per cell]
O (0.525, 0.227, 0.503) [1 per cell]
O (0.530, 0.015, 0.619) [1 per cell]
O (0.534, 0.211, 0.221) [1 per cell]
O (0.538, 0.050, 0.005) [1 per cell]
O (0.538, 0.240, 0.116) [1 per cell]
O (0.548, 0.057, 0.723) [1 per cell]
O (0.619, 0.865, 0.386) [1 per cell]
O (0.628, 0.445, 0.887) [1 per cell]
O (0.640, 0.485, 0.173) [1 per cell]
O (0.655, 0.887, 0.676) [1 per cell]
O (0.666, 0.474, 0.778) [1 per cell]
O (0.680, 0.532, 0.495) [1 per cell]
O (0.685, 0.906, 0.280) [1 per cell]
O (0.692, 0.895, 0.997) [1 per cell]
O (0.784, 0.360, 0.452) [1 per cell]
O (0.789, 0.168, 0.951) [1 per cell]
O (0.789, 0.400, 0.555) [1 per cell]
O (0.795, 0.334, 0.171) [1 per cell]
O (0.798, 0.190, 0.668) [1 per cell]
O (0.807, 0.346, 0.833) [1 per cell]
O (0.808, 0.144, 0.053) [1 per cell]
O (0.811, 0.160, 0.341) [1 per cell]
O (0.819, 0.864, 0.493) [1 per cell]
O (0.837, 0.675, 0.998) [1 per cell]
O (0.866, 0.723, 0.677) [1 per cell]
O (0.873, 0.679, 0.279) [1 per cell]
O (0.877, 0.879, 0.173) [1 per cell]
O (0.883, 0.918, 0.783) [1 per cell]
O (0.892, 0.743, 0.386) [1 per cell]
O (0.907, 0.904, 0.886) [1 per cell]
O (0.967, 0.120, 0.554) [1 per cell]
O (0.978, 0.563, 0.053) [1 per cell]
O (0.997, 0.145, 0.445) [1 per cell]

Record 3
Material: Na3CaSn3P5SO24
Method: DFT, PBE
State: optimized geometry

Summary:
- DFT total energy: -6.60 eV per atom
- Energy of formation from the pure elements: -92.89 eV/f.u.

Unit cell a=8.893 b=8.918 c=23.074 alpha=90.10 beta=90.13 gamma=119.86
Space group P1 (No. 1)
Symmetry-distinct sites (fractional):
Na (0.000, 0.000, 0.000) [1 per cell]
Na (0.003, 0.011, 0.499) [1 per cell]
Na (0.313, 0.652, 0.331) [1 per cell]
Na (0.318, 0.658, 0.832) [1 per cell]
Na (0.621, 0.993, 0.245) [1 per cell]
Na (0.650, 0.323, 0.663) [1 per cell]
Na (0.661, 0.335, 0.162) [1 per cell]
Na (0.664, 0.980, 0.919) [1 per cell]
Na (0.954, 0.658, 0.580) [1 per cell]
Ca (0.322, 0.661, 0.188) [1 per cell]
Ca (0.652, 0.329, 0.519) [1 per cell]
Ca (0.661, 0.333, 0.015) [1 per cell]
Sn (0.002, 0.000, 0.352) [1 per cell]
Sn (0.322, 0.659, 0.482) [1 per cell]
Sn (0.330, 0.667, 0.982) [1 per cell]
Sn (0.330, 0.668, 0.688) [1 per cell]
Sn (0.662, 0.336, 0.815) [1 per cell]
Sn (0.662, 0.347, 0.316) [1 per cell]
Sn (0.990, 0.001, 0.150) [1 per cell]
Sn (0.995, 0.004, 0.649) [1 per cell]
Sn (0.998, 0.001, 0.848) [1 per cell]
P (0.042, 0.374, 0.586) [1 per cell]
P (0.289, 0.294, 0.750) [1 per cell]
P (0.290, 0.010, 0.251) [1 per cell]
P (0.323, 0.952, 0.586) [1 per cell]
P (0.360, 0.335, 0.416) [1 per cell]
P (0.361, 0.036, 0.915) [1 per cell]
P (0.620, 0.676, 0.586) [1 per cell]
P (0.629, 0.962, 0.086) [1 per cell]
P (0.664, 0.634, 0.915) [1 per cell]
P (0.701, 0.003, 0.751) [1 per cell]
P (0.711, 0.710, 0.252) [1 per cell]
P (0.962, 0.335, 0.914) [1 per cell]
P (0.962, 0.635, 0.418) [1 per cell]
P (0.987, 0.287, 0.254) [1 per cell]
P (0.993, 0.705, 0.748) [1 per cell]
S (0.036, 0.676, 0.084) [1 per cell]
S (0.319, 0.366, 0.084) [1 per cell]
S (0.660, 0.033, 0.415) [1 per cell]
O (0.007, 0.196, 0.308) [1 per cell]
O (0.025, 0.821, 0.802) [1 per cell]
O (0.028, 0.843, 0.086) [1 per cell]
O (0.029, 0.193, 0.591) [1 per cell]
O (0.117, 0.656, 0.135) [1 per cell]
O (0.129, 0.491, 0.640) [1 per cell]
O (0.141, 0.700, 0.029) [1 per cell]
O (0.142, 0.465, 0.251) [1 per cell]
O (0.146, 0.500, 0.922) [1 per cell]
O (0.147, 0.956, 0.591) [1 per cell]
O (0.149, 0.656, 0.420) [1 per cell]
O (0.151, 0.451, 0.530) [1 per cell]
O (0.156, 0.189, 0.087) [1 per cell]
O (0.158, 0.687, 0.744) [1 per cell]
O (0.173, 0.177, 0.408) [1 per cell]
O (0.175, 0.214, 0.804) [1 per cell]
O (0.176, 0.009, 0.905) [1 per cell]
O (0.180, 0.983, 0.305) [1 per cell]
O (0.207, 0.040, 0.195) [1 per cell]
O (0.208, 0.181, 0.695) [1 per cell]
O (0.285, 0.835, 0.531) [1 per cell]
O (0.289, 0.444, 0.029) [1 per cell]
O (0.307, 0.476, 0.745) [1 per cell]
O (0.319, 0.856, 0.248) [1 per cell]
O (0.336, 0.465, 0.135) [1 per cell]
O (0.343, 0.863, 0.641) [1 per cell]
O (0.346, 0.504, 0.420) [1 per cell]
O (0.350, 0.853, 0.920) [1 per cell]
O (0.430, 0.138, 0.970) [1 per cell]
O (0.432, 0.300, 0.469) [1 per cell]
O (0.471, 0.311, 0.756) [1 per cell]
O (0.472, 0.346, 0.078) [1 per cell]
O (0.473, 0.364, 0.360) [1 per cell]
O (0.474, 0.177, 0.257) [1 per cell]
O (0.480, 0.130, 0.583) [1 per cell]
O (0.484, 0.117, 0.861) [1 per cell]
O (0.498, 0.658, 0.920) [1 per cell]
O (0.501, 0.858, 0.419) [1 per cell]
O (0.510, 0.651, 0.640) [1 per cell]
O (0.519, 0.838, 0.745) [1 per cell]
O (0.529, 0.876, 0.140) [1 per cell]
O (0.535, 0.696, 0.249) [1 per cell]
O (0.539, 0.705, 0.529) [1 per cell]
O (0.544, 0.850, 0.027) [1 per cell]
O (0.628, 0.519, 0.860) [1 per cell]
O (0.632, 0.111, 0.360) [1 per cell]
O (0.649, 0.522, 0.583) [1 per cell]
O (0.654, 0.143, 0.080) [1 per cell]
O (0.683, 0.167, 0.756) [1 per cell]
O (0.690, 0.138, 0.466) [1 per cell]
O (0.698, 0.529, 0.256) [1 per cell]
O (0.699, 0.566, 0.969) [1 per cell]
O (0.780, 0.972, 0.806) [1 per cell]
O (0.798, 0.826, 0.306) [1 per cell]
O (0.804, 0.843, 0.590) [1 per cell]
O (0.811, 0.290, 0.259) [1 per cell]
O (0.813, 0.971, 0.087) [1 per cell]
O (0.815, 0.010, 0.408) [1 per cell]
O (0.816, 0.033, 0.697) [1 per cell]
O (0.819, 0.823, 0.905) [1 per cell]
O (0.822, 0.789, 0.196) [1 per cell]
O (0.828, 0.525, 0.755) [1 per cell]
O (0.850, 0.290, 0.967) [1 per cell]
O (0.860, 0.529, 0.078) [1 per cell]
O (0.864, 0.565, 0.473) [1 per cell]
O (0.866, 0.362, 0.582) [1 per cell]
O (0.876, 0.516, 0.363) [1 per cell]
O (0.880, 0.370, 0.859) [1 per cell]
O (0.947, 0.171, 0.198) [1 per cell]
O (0.962, 0.785, 0.693) [1 per cell]
O (0.979, 0.170, 0.904) [1 per cell]
O (0.981, 0.817, 0.409) [1 per cell]